First-principles (PBE) data for La2Ti3O9 after structural relaxation, as listed in the Materials Project.

Cell and atoms, written as extended XYZ:
```
28
Lattice="-4.583 4.583 4.583 4.583 -4.583 4.583 4.583 4.583 -4.583" Properties=species:S:1:pos:R:3 pbc="T T T"
La 2.734 2.734 -2.734
La 2.734 -2.734 2.734
La 1.849 1.849 1.849
La 6.432 2.734 2.734
Ti 4.583 1.424 0.000
Ti 4.583 0.000 3.159
Ti 3.159 4.583 0.000
Ti 1.424 0.000 4.583
Ti 0.000 4.583 1.424
Ti 0.000 3.159 4.583
O 3.286 0.000 0.000
O 5.880 0.000 0.000
O 4.827 -1.639 1.952
O 2.944 2.631 -0.244
O 2.631 -0.244 2.944
O 6.222 2.631 0.244
O 1.952 4.827 -1.639
O 0.000 3.286 0.000
O 0.000 0.000 3.286
O 4.339 1.639 1.952
O -0.244 2.944 2.631
O 0.000 5.880 0.000
O 0.000 0.000 5.880
O 1.952 4.339 1.639
O 1.639 1.952 4.339
O 2.631 0.244 6.222
O -1.639 1.952 4.827
O 0.244 6.222 2.631
```

## Properties
For the energy above the most stable polymorph in this dataset, the calculation gives 0.80 eV/f.u. The total magnetization comes out at 0.00 μB/f.u. The calculation puts the formation energy at -3629 meV/atom. The MP2020-corrected energy is -257.8 eV for the cell shown. For the total energy, the calculation gives -8.765 eV/atom.